--- a ---
Material: Tm2MgS4
Method: DFT, GGA-PBE
State: optimized geometry

Results
Size of the total moment = 0.0 μB per formula unit
Density = 5510 kg/m3
Volume = 1182 Å³ per cell

Lattice parameters (Å, degrees): 12.499 7.453 12.695 90.00 90.00 90.00
Positions (direct):
S  0.714  0.620  0.518
Tm  0.891  0.117  0.186
S  0.286  0.380  0.018
S  0.986  0.123  0.377
S  0.041  0.874  0.136
Tm  0.372  0.381  0.826
S  0.966  0.624  0.631
S  0.479  0.374  0.370
Mg  0.374  0.878  0.822
S  0.514  0.123  0.877
S  0.713  0.120  0.504
Tm  0.366  0.629  0.492
S  0.232  0.129  0.777
Mg  0.126  0.878  0.322
S  0.732  0.368  0.777
S  0.534  0.624  0.131
S  0.232  0.632  0.777
S  0.768  0.368  0.277
S  0.786  0.620  0.018
Mg  0.890  0.619  0.190
S  0.979  0.626  0.370
Mg  0.874  0.122  0.822
S  0.466  0.376  0.631
S  0.268  0.129  0.277
Tm  0.872  0.619  0.826
Mg  0.390  0.381  0.190
Tm  0.628  0.619  0.326
S  0.034  0.376  0.131
Tm  0.134  0.129  0.991
Tm  0.866  0.871  0.491
Mg  0.610  0.619  0.690
S  0.287  0.880  0.004
Tm  0.609  0.117  0.686
S  0.787  0.120  0.004
Mg  0.110  0.381  0.690
S  0.732  0.871  0.777
Tm  0.866  0.371  0.492
S  0.486  0.877  0.377
Tm  0.366  0.129  0.491
S  0.521  0.626  0.870
S  0.959  0.126  0.636
S  0.021  0.374  0.870
Mg  0.626  0.122  0.322
S  0.541  0.126  0.136
S  0.213  0.880  0.504
Tm  0.128  0.381  0.326
Tm  0.634  0.371  0.992
S  0.268  0.632  0.277
S  0.014  0.877  0.877
S  0.214  0.380  0.518
Tm  0.109  0.883  0.686
Tm  0.634  0.871  0.991
Tm  0.134  0.629  0.992
S  0.768  0.871  0.277
Tm  0.391  0.883  0.186
S  0.459  0.874  0.636

***

--- b ---
Material: Tm2MgS4
Method: DFT, GGA-PBE
State: optimized geometry

Results
Piezoelectric modulus e_max = 0.65 C/m2
Size of the total moment = 0.0 μB per formula unit
Density = 5872 kg/m3
Volume = 277 Å³ per cell

Lattice parameters (Å, degrees): 7.118 7.118 7.118 110.43 110.43 107.56
Positions (direct):
S  0.631  0.870  0.630
Mg  0.000  0.000  0.000
Tm  0.508  0.125  0.883
Mg  0.750  0.250  0.500
S  0.751  0.490  0.870
S  0.119  0.249  0.739
S  0.999  0.369  0.239
S  0.130  0.760  0.761
S  0.240  0.001  0.370
Tm  0.242  0.625  0.117
Tm  0.375  0.492  0.617
S  0.620  0.881  0.130
Tm  0.875  0.758  0.383
S  0.510  0.380  0.261

***

The least stable of them is b.

***

--- a ---
Material: MgV4S8
Method: DFT, GGA-PBE
State: optimized geometry

Results
Size of the total moment = 6.0 μB per formula unit
Density = 3407 kg/m3
Volume = 236 Å³ per cell

Lattice parameters (Å, degrees): 6.994 6.994 6.994 58.95 58.95 58.95
Positions (direct):
V  0.500  0.000  0.500
V  0.000  0.500  0.500
S  0.744  0.744  0.263
S  0.255  0.255  0.255
V  0.500  0.500  0.500
S  0.744  0.263  0.744
Mg  0.000  0.000  0.000
S  0.256  0.737  0.256
S  0.745  0.745  0.745
S  0.256  0.256  0.737
S  0.263  0.744  0.744
S  0.737  0.256  0.256
V  0.500  0.500  0.000

***

--- b ---
Material: MgV4S8
Method: DFT, GGA-PBE
State: optimized geometry

Results
Size of the total moment = 0.0 μB per formula unit
Density = 3094 kg/m3
Volume = 260 Å³ per cell

Lattice parameters (Å, degrees): 7.165 7.165 7.177 59.93 59.94 59.91
Positions (direct):
S  0.748  0.258  0.747
S  0.249  0.249  0.754
S  0.747  0.747  0.258
S  0.747  0.747  0.747
Mg  0.377  0.377  0.373
V  0.939  0.521  0.520
V  0.521  0.939  0.520
V  0.521  0.521  0.937
S  0.757  0.247  0.248
S  0.258  0.748  0.747
S  0.249  0.249  0.249
V  0.521  0.521  0.521
S  0.247  0.757  0.248

***

--- c ---
Material: MgV4S8
Method: DFT, GGA-PBE
State: optimized geometry

Results
Size of the total moment = 1.5 μB per formula unit
Density = 3401 kg/m3
Volume = 237 Å³ per cell

Lattice parameters (Å, degrees): 7.445 7.445 7.445 51.95 51.95 51.95
Positions (direct):
Mg  0.500  0.500  0.500
S  0.242  0.242  0.743
S  0.758  0.257  0.758
S  0.758  0.758  0.257
V  0.500  0.500  0.000
S  0.257  0.758  0.758
S  0.242  0.743  0.242
S  0.743  0.242  0.242
S  0.741  0.741  0.741
S  0.259  0.259  0.259
V  0.500  0.000  0.500
V  0.000  0.000  0.000
V  0.000  0.500  0.500

***

--- d ---
Material: MgV4S8
Method: DFT, GGA-PBE
State: optimized geometry

Results
Size of the total moment = 6.0 μB per formula unit
Density = 3339 kg/m3
Volume = 241 Å³ per cell

Lattice parameters (Å, degrees): 6.985 6.985 6.984 59.99 60.03 60.01
Positions (direct):
V  0.956  0.515  0.515
S  0.751  0.750  0.751
S  0.249  0.750  0.750
V  0.515  0.515  0.515
S  0.750  0.751  0.248
S  0.265  0.265  0.265
Mg  0.125  0.125  0.125
V  0.515  0.956  0.515
S  0.750  0.248  0.751
S  0.706  0.265  0.265
V  0.515  0.515  0.956
S  0.265  0.706  0.265
S  0.265  0.265  0.706

***

The least stable of them is b.

***

--- a ---
Material: Mg3Sb2
Method: DFT, GGA-PBE
State: optimized geometry

Results
Size of the total moment = 0.0 μB per formula unit
Density = 3474 kg/m3
Volume = 1210 Å³ per cell

Lattice parameters (Å, degrees): 11.627 11.627 11.627 109.47 109.47 109.47
Positions (direct):
Mg  0.518  0.013  0.758
Mg  0.742  0.755  0.759
Mg  0.982  0.241  0.995
Mg  0.487  0.742  0.482
Mg  0.741  0.495  0.982
Sb  0.237  0.487  0.250
Mg  0.018  0.759  0.005
Sb  0.500  0.000  0.500
Sb  0.987  0.750  0.237
Sb  0.263  0.013  0.750
Sb  0.750  0.263  0.013
Mg  0.995  0.482  0.741
Mg  0.759  0.242  0.255
Mg  0.505  0.745  0.987
Mg  0.513  0.258  0.518
Mg  0.242  0.982  0.487
Mg  0.258  0.245  0.241
Sb  0.250  0.237  0.487
Mg  0.755  0.513  0.495
Sb  0.763  0.513  0.750
Mg  0.745  0.741  0.258
Sb  0.013  0.250  0.763
Sb  0.000  0.500  0.500
Sb  0.737  0.987  0.250
Mg  0.495  0.255  0.013
Mg  0.482  0.987  0.242
Sb  0.750  0.763  0.513
Mg  0.245  0.487  0.505
Sb  0.513  0.250  0.263
Sb  0.250  0.737  0.987
Mg  0.241  0.758  0.745
Mg  0.259  0.505  0.018
Mg  0.987  0.005  0.245
Mg  0.255  0.259  0.742
Sb  0.487  0.750  0.737
Sb  0.000  0.000  0.000
Mg  0.005  0.518  0.259
Sb  0.500  0.500  0.000
Mg  0.758  0.018  0.513
Mg  0.013  0.995  0.755

***

--- b ---
Material: Mg3Sb2
Method: DFT, GGA-PBE
State: optimized geometry

Results
Density = 3937 kg/m3
Volume = 133 Å³ per cell

Lattice parameters (Å, degrees): 4.601 4.601 7.281 90.00 90.00 120.00
Positions (direct):
Mg  0.667  0.333  0.368
Mg  0.000  0.000  0.000
Mg  0.333  0.667  0.632
Sb  0.667  0.333  0.775
Sb  0.333  0.667  0.225

***

The least stable of them is b.

***

--- a ---
Material: Mg14SiSb
Method: DFT, GGA-PBE
State: optimized geometry

Results
Size of the total moment = 0.0 μB per formula unit
Density = 2277 kg/m3
Volume = 357 Å³ per cell

Lattice parameters (Å, degrees): 6.286 6.529 10.192 90.00 90.00 121.28
Positions (direct):
Mg  0.838  0.169  0.371
Mg  0.832  0.666  0.377
Mg  0.668  0.333  0.625
Mg  0.330  0.170  0.371
Mg  0.668  0.834  0.625
Mg  0.330  0.660  0.879
Mg  0.330  0.660  0.371
Mg  0.171  0.836  0.625
Mg  0.330  0.170  0.879
Sb  0.163  0.831  0.125
Mg  0.838  0.169  0.879
Si  0.161  0.331  0.125
Mg  0.170  0.335  0.625
Mg  0.670  0.335  0.125
Mg  0.670  0.835  0.125
Mg  0.832  0.666  0.873

***

--- b ---
Material: Mg14SiSb
Method: DFT, GGA-PBE
State: optimized geometry

Results
Size of the total moment = 0.0 μB per formula unit
Density = 2295 kg/m3
Volume = 355 Å³ per cell

Lattice parameters (Å, degrees): 6.330 6.330 10.219 90.00 90.00 120.00
Positions (direct):
Mg  0.166  0.833  0.625
Mg  0.334  0.166  0.369
Mg  0.832  0.166  0.369
Mg  0.334  0.668  0.881
Mg  0.667  0.833  0.625
Mg  0.334  0.166  0.881
Mg  0.165  0.833  0.125
Mg  0.667  0.334  0.625
Mg  0.832  0.166  0.881
Mg  0.833  0.667  0.376
Sb  0.167  0.333  0.625
Mg  0.667  0.335  0.125
Mg  0.833  0.667  0.874
Si  0.167  0.333  0.125
Mg  0.667  0.833  0.125
Mg  0.334  0.668  0.369

***

The least stable of them is a.